[1]
## LiCuS (PBE-GGA)

Data for an optimized crystal structure of LiCuS.

total magnetic moment: 0.00 μB per cell
calculated formation energy: -836 meV per atom

```
data_LiCuS
_space_group_name_H-M_alt 'P b c n'
_space_group_IT_number 60
_space_group_name_Hall '-P 2n 2ab'
_cell_length_a 12.766
_cell_length_b 4.910
_cell_length_c 21.818
_cell_angle_alpha 90.00
_cell_angle_beta 90.00
_cell_angle_gamma 90.00
loop_
_atom_site_label
_atom_site_type_symbol
_atom_site_fract_x
_atom_site_fract_y
_atom_site_fract_z
Li1 Li 0.076 0.031 0.198
Li2 Li 0.081 0.332 0.538
Li3 Li 0.089 0.384 0.864
Cu1 Cu 0.245 0.013 0.471
Cu2 Cu 0.247 0.307 0.146
Cu3 Cu 0.248 0.329 0.293
S1 S 0.110 0.432 0.646
S2 S 0.111 0.255 0.973
S3 S 0.113 0.072 0.306
```

=====

[2]
## K2BaGe8O18 (PBE-GGA)

Data for an optimized crystal structure of K2BaGe8O18.

total magnetic moment: 0.00 μB per cell
calculated formation energy: -2262 meV per atom

```
data_K2BaGe8O18
_space_group_name_H-M_alt 'P -3 c 1'
_space_group_IT_number 165
_space_group_name_Hall '-P 3 2"c'
_cell_length_a 11.9080
_cell_length_b 11.9080
_cell_length_c 19.5869
_cell_angle_alpha 90.00
_cell_angle_beta 90.00
_cell_angle_gamma 120.00
loop_
_atom_site_label
_atom_site_type_symbol
_atom_site_fract_x
_atom_site_fract_y
_atom_site_fract_z
K1 K 0.0017 0.3373 0.0393
Ba1 Ba 0.0000 0.3351 0.2500
Ge1 Ge 0.0000 0.0000 0.0000
Ge2 Ge 0.0000 0.0000 0.2500
Ge3 Ge 0.0036 0.1778 0.6273
Ge4 Ge 0.1448 0.4833 0.6492
Ge5 Ge 0.1548 0.4884 0.8913
Ge6 Ge 0.3333 0.6667 0.0222
Ge7 Ge 0.3333 0.6667 0.2721
O1 O 0.0088 0.4844 0.8641
O2 O 0.0632 0.1511 0.3081
O3 O 0.0676 0.1515 0.0586
O4 O 0.1072 0.3243 0.9155
O5 O 0.1207 0.3255 0.6725
O6 O 0.1812 0.5763 0.9673
O7 O 0.1830 0.5896 0.2174
O8 O 0.2408 0.5133 0.5764
O9 O 0.2430 0.5166 0.3291
```

=====

[3]
## AlCuCl4 (PBE-GGA)

Data for an optimized crystal structure of AlCuCl4.

calculated formation energy: -1575 meV per atom

```
data_AlCuCl4
_space_group_name_H-M_alt 'P n a 21'
_space_group_IT_number 33
_space_group_name_Hall 'P 2c -2n'
_cell_length_a 12.936
_cell_length_b 7.798
_cell_length_c 6.221
_cell_angle_alpha 90.00
_cell_angle_beta 90.00
_cell_angle_gamma 90.00
loop_
_atom_site_label
_atom_site_type_symbol
_atom_site_fract_x
_atom_site_fract_y
_atom_site_fract_z
Al1 Al 0.088 0.245 0.000
Cu1 Cu 0.162 0.994 0.497
Cl1 Cl 0.071 0.748 0.612
Cl2 Cl 0.093 0.245 0.650
Cl3 Cl 0.163 0.014 0.121
Cl4 Cl 0.166 0.474 0.118
```

=====

[4]
## NaTi3O9 (PBE-GGA)

Data for an optimized crystal structure of NaTi3O9.

total magnetic moment: 8.00 μB per cell
calculated formation energy: -2142 meV per atom

```
data_NaTi3O9
_space_group_name_H-M_alt 'C 1 2/m 1'
_space_group_IT_number 12
_space_group_name_Hall '-C 2y'
_cell_length_a 16.218
_cell_length_b 3.758
_cell_length_c 12.514
_cell_angle_alpha 90.00
_cell_angle_beta 122.23
_cell_angle_gamma 90.00
loop_
_atom_site_label
_atom_site_type_symbol
_atom_site_fract_x
_atom_site_fract_y
_atom_site_fract_z
Na1 Na 0.183 0.000 0.318
Ti1 Ti 0.060 0.500 0.815
Ti2 Ti 0.089 0.000 0.635
Ti3 Ti 0.240 0.500 0.094
O1 O 0.031 0.000 0.056
O2 O 0.067 0.000 0.471
O3 O 0.070 0.500 0.255
O4 O 0.074 0.500 0.658
O5 O 0.094 0.000 0.809
O6 O 0.109 0.500 0.989
O7 O 0.144 0.500 0.452
O8 O 0.227 0.000 0.738
O9 O 0.236 0.500 0.920
```

=====

[5]
## SiF4 (PBE-GGA)

Data for an optimized crystal structure of SiF4.

maximum piezoelectric response: 0.07 C/m²
calculated formation energy: -3472 meV per atom

```
data_SiF4
_space_group_name_H-M_alt 'I -4 3 m'
_space_group_IT_number 217
_space_group_name_Hall 'I -4 2 3'
_cell_length_a 5.593
_cell_length_b 5.593
_cell_length_c 5.593
_cell_angle_alpha 90.00
_cell_angle_beta 90.00
_cell_angle_gamma 90.00
loop_
_atom_site_label
_atom_site_type_symbol
_atom_site_fract_x
_atom_site_fract_y
_atom_site_fract_z
Si1 Si 0.000 0.000 0.000
F1 F 0.163 0.163 0.837
```

=====

[6]
## Ca3Si2P4 (PBE-GGA)

Data for an optimized crystal structure of Ca3Si2P4.

calculated formation energy: -885 meV per atom

```
data_Ca3Si2P4
_space_group_name_H-M_alt 'P 1 21/c 1'
_space_group_IT_number 14
_space_group_name_Hall '-P 2ybc'
_cell_length_a 7.102
_cell_length_b 17.283
_cell_length_c 6.951
_cell_angle_alpha 90.00
_cell_angle_beta 111.73
_cell_angle_gamma 90.00
loop_
_atom_site_label
_atom_site_type_symbol
_atom_site_fract_x
_atom_site_fract_y
_atom_site_fract_z
Ca1 Ca 0.215 0.184 0.012
Ca2 Ca 0.257 0.062 0.512
Ca3 Ca 0.261 0.558 0.505
Si1 Si 0.212 0.628 0.029
Si2 Si 0.317 0.742 0.915
P1 P 0.009 0.561 0.755
P2 P 0.044 0.686 0.221
P3 P 0.494 0.568 0.240
P4 P 0.499 0.199 0.776
```

=====

[7]
## XeO3 (PBE-GGA)

Data for an optimized crystal structure of XeO3.

total magnetic moment: 0.00 μB per cell
calculated formation energy: 957 meV per atom

```
data_XeO3
_space_group_name_H-M_alt 'P 21 21 21'
_space_group_IT_number 19
_space_group_name_Hall 'P 2ac 2ab'
_cell_length_a 5.531
_cell_length_b 6.155
_cell_length_c 8.250
_cell_angle_alpha 90.00
_cell_angle_beta 90.00
_cell_angle_gamma 90.00
loop_
_atom_site_label
_atom_site_type_symbol
_atom_site_fract_x
_atom_site_fract_y
_atom_site_fract_z
Xe1 Xe 0.217 0.060 0.348
O1 O 0.075 0.450 0.243
O2 O 0.084 0.176 0.902
O3 O 0.110 0.142 0.561
```

=====

[8]
## Ba3BiN (PBE-GGA)

Data for an optimized crystal structure of Ba3BiN.

total magnetic moment: 0.00 μB per cell
calculated formation energy: -793 meV per atom

```
data_Ba3BiN
_space_group_name_H-M_alt 'P m -3 m'
_space_group_IT_number 221
_space_group_name_Hall '-P 4 2 3'
_cell_length_a 5.612
_cell_length_b 5.612
_cell_length_c 5.612
_cell_angle_alpha 90.00
_cell_angle_beta 90.00
_cell_angle_gamma 90.00
loop_
_atom_site_label
_atom_site_type_symbol
_atom_site_fract_x
_atom_site_fract_y
_atom_site_fract_z
Ba1 Ba 0.000 0.000 0.500
Bi1 Bi 0.500 0.500 0.500
N1 N 0.000 0.000 0.000
```

=====

[9]
## Na2VCu3S4 (PBE-GGA)

Data for an optimized crystal structure of Na2VCu3S4.

total magnetic moment: 4.00 μB per cell
calculated formation energy: -841 meV per atom

```
data_Na2VCu3S4
_space_group_name_H-M_alt 'C 1 m 1'
_space_group_IT_number 8
_space_group_name_Hall 'C -2y'
_cell_length_a 15.168
_cell_length_b 3.872
_cell_length_c 6.694
_cell_angle_alpha 90.00
_cell_angle_beta 116.05
_cell_angle_gamma 90.00
loop_
_atom_site_label
_atom_site_type_symbol
_atom_site_fract_x
_atom_site_fract_y
_atom_site_fract_z
Na1 Na 0.000 0.000 0.000
Na2 Na 0.002 0.500 0.497
V1 V 0.306 0.500 0.465
Cu1 Cu 0.181 0.000 0.525
Cu2 Cu 0.182 0.500 0.003
Cu3 Cu 0.300 0.000 0.971
S1 S 0.124 0.000 0.791
S2 S 0.138 0.500 0.299
S3 S 0.358 0.000 0.688
S4 S 0.362 0.500 0.195
```

=====

[10]
## SmB2Os2 (PBE-GGA)

Data for an optimized crystal structure of SmB2Os2.

calculated formation energy: -452 meV per atom

```
data_SmB2Os2
_space_group_name_H-M_alt 'F d d d'
_space_group_IT_number 70
_cell_length_a 6.668
_cell_length_b 9.071
_cell_length_c 9.949
_cell_angle_alpha 90.00
_cell_angle_beta 90.00
_cell_angle_gamma 90.00
loop_
_space_group_symop_operation_xyz
'x,y,z'
'-x,-y,-z'
'-x+1/4,-y+1/4,z'
'x+1/4,y+1/4,-z'
'x,-y+1/4,-z+1/4'
'-x,y+1/4,z+1/4'
'-x+1/4,y,-z+1/4'
'x+1/4,-y,z+1/4'
'x,y+1/2,z+1/2'
'-x,-y+1/2,-z+1/2'
'-x+1/4,-y+3/4,z+1/2'
'x+1/4,y+3/4,-z+1/2'
'x,-y+3/4,-z+3/4'
'-x,y+3/4,z+3/4'
'-x+1/4,y+1/2,-z+3/4'
'x+1/4,-y+1/2,z+3/4'
'x+1/2,y,z+1/2'
'-x+1/2,-y,-z+1/2'
'-x+3/4,-y+1/4,z+1/2'
'x+3/4,y+1/4,-z+1/2'
'x+1/2,-y+1/4,-z+3/4'
'-x+1/2,y+1/4,z+3/4'
'-x+3/4,y,-z+3/4'
'x+3/4,-y,z+3/4'
'x+1/2,y+1/2,z'
'-x+1/2,-y+1/2,-z'
'-x+3/4,-y+3/4,z'
'x+3/4,y+3/4,-z'
'x+1/2,-y+3/4,-z+1/4'
'-x+1/2,y+3/4,z+1/4'
'-x+3/4,y+1/2,-z+1/4'
'x+3/4,-y+1/2,z+1/4'
loop_
_atom_site_label
_atom_site_type_symbol
_atom_site_fract_x
_atom_site_fract_y
_atom_site_fract_z
Sm1 Sm 0.125 0.125 0.125
B1 B 0.125 0.313 0.625
Os1 Os 0.125 0.125 0.488
```